# 1
! PBE SrCaSi, optimized geometry; values from VASP
! Corrected total energy (MP2020 scheme) in eV/atom: -3.46
! Symmetry: No. 62
&SYSTEM
  ibrav = 0, nat = 12, ntyp = 3
/
ATOMIC_SPECIES
Sr 87.62 Sr.upf
Ca 40.08 Ca.upf
Si 28.09 Si.upf
ATOMIC_POSITIONS angstrom
Sr -1.714 -1.045 4.249
Sr 1.449 1.248 2.558
Sr -1.582 -0.457 10.592
Sr 1.581 1.836 8.902
Ca -0.425 1.997 5.736
Ca 4.818 1.289 7.062
Ca -4.952 -0.498 6.089
Ca 0.292 -1.206 7.415
Si 1.834 -1.416 10.077
Si 2.204 0.465 5.648
Si -1.968 2.207 3.073
Si -2.338 0.327 7.502
CELL_PARAMETERS angstrom
-2.161 4.144 1.579
-4.466 -4.312 5.204
6.493 0.959 6.367

---

# 2
! PBE RbMg14Cu, optimized geometry; values from VASP
! Total magnetization in μB/cell: 0.0
! Energy relative to the lowest polymorph listed for this composition in eV/atom: 0.000
! Symmetry: No. 38
&SYSTEM
  ibrav = 0, nat = 16, ntyp = 3
/
ATOMIC_SPECIES
Rb 85.47 Rb.upf
Mg 24.30 Mg.upf
Cu 63.55 Cu.upf
ATOMIC_POSITIONS angstrom
Rb -1.583 4.615 1.330
Mg 0.000 1.843 6.652
Mg -1.575 4.620 6.652
Mg 3.223 1.930 1.330
Mg 3.285 1.874 6.652
Mg 1.687 4.590 1.330
Mg 1.669 4.673 6.652
Mg 1.643 1.016 4.129
Mg 1.643 1.016 9.176
Mg 0.105 3.679 4.129
Mg 0.105 3.679 9.176
Mg 4.957 1.019 3.840
Mg 4.957 1.019 9.465
Mg 3.262 3.727 4.182
Mg 3.262 3.727 9.123
Cu 0.022 1.856 1.330
CELL_PARAMETERS angstrom
6.525 0.081 0.000
-3.192 5.529 0.000
0.000 0.000 10.644

---

# 3
! PBE CsBSe3, optimized geometry; values from VASP
! Corrected total energy (MP2020 scheme) in eV/atom: -4.47
! Symmetry: No. 14
&SYSTEM
  ibrav = 0, nat = 20, ntyp = 3
/
ATOMIC_SPECIES
Cs 132.91 Cs.upf
B 10.81 B.upf
Se 78.96 Se.upf
ATOMIC_POSITIONS angstrom
Cs -3.055 1.110 7.748
Cs -7.035 -1.247 6.381
Cs -10.132 3.304 6.525
Cs 0.042 -3.441 7.605
B -2.463 0.581 3.691
B -2.831 -2.353 4.838
B -7.259 2.215 9.291
B -7.627 -0.718 10.439
Se -4.436 -1.949 3.546
Se -3.503 -2.947 6.726
Se -5.601 -0.544 10.140
Se -8.265 3.804 10.122
Se -1.517 -0.769 4.975
Se -2.134 0.082 1.678
Se -6.587 2.810 7.404
Se -1.826 -3.941 4.008
Se -8.573 0.632 9.154
Se -5.655 1.812 10.584
Se -7.956 -0.220 12.452
Se -4.490 0.407 3.990
CELL_PARAMETERS angstrom
-11.271 5.260 4.199
-1.582 -5.472 2.610
2.762 0.075 7.321

---

no.,calculated volume (Å³/atom),density (g cm⁻³),ΔE_f (eV/atom)
1,30.452,2.83,-0.4248
2,24.174,2.10,0.1616
3,30.776,4.11,-0.8565